## HfBeIr2 (r2SCAN)

Data for HfBeIr2 after structural relaxation.

Cell: 4.340 4.340 4.340 Å, 60.00 60.00 60.00°
Element x y z (fractional)
Ir 0.250 0.250 0.250
Hf 0.000 0.000 0.000
Be 0.500 0.500 0.500
Ir 0.750 0.750 0.750

Energy of formation from the pure elements (eV/atom): -0.83
Theoretical density (kg/m³): 16433
Total energy (eV per atom): -39.38